# Na3Ca5NbS9O36 | the Materials Project database | PBE-GGA | relaxed
# Formation energy from the elements in eV per atom: -2.43
# Magnetization in μB per cell: 0.0
data_Na3Ca5NbS9O36
_chemical_formula_sum 'Na6 Ca10 Nb2 S18 O72'
_cell_length_a 9.1314
_cell_length_b 9.1314
_cell_length_c 24.3511
_cell_angle_alpha 90.00
_cell_angle_beta 90.00
_cell_angle_gamma 120.00
_symmetry_space_group_name_H-M 'P 3 c 1'
_symmetry_Int_Tables_number 158
_symmetry_space_group_name_Hall 'P 3 -2"c'
loop_
_atom_site_label
_atom_site_type_symbol
_atom_site_fract_x
_atom_site_fract_y
_atom_site_fract_z
Na1 Na 0.0000 0.0000 0.0000
Na2 Na 0.3333 0.6667 0.1419
Na3 Na 0.6667 0.3333 0.3211
Ca1 Ca 0.0000 0.0000 0.1403
Ca2 Ca 0.0000 0.0000 0.3385
Ca3 Ca 0.3333 0.6667 0.0088
Ca4 Ca 0.6667 0.3333 0.1701
Ca5 Ca 0.6667 0.3333 0.4708
Nb1 Nb 0.3333 0.6667 0.3047
S1 S 0.0082 0.3116 0.2429
S2 S 0.0449 0.3811 0.9015
S3 S 0.3638 0.0334 0.5716
O1 O 0.0286 0.2140 0.8948
O2 O 0.0472 0.2497 0.1926
O3 O 0.1380 0.4618 0.9512
O4 O 0.1384 0.4842 0.5702
O5 O 0.1500 0.4914 0.8511
O6 O 0.1679 0.4883 0.2535
O7 O 0.1920 0.0158 0.5738
O8 O 0.2199 0.0136 0.2908
O9 O 0.4499 0.1287 0.5211
O10 O 0.4598 0.1192 0.6219
O11 O 0.4775 0.1341 0.2378
O12 O 0.4951 0.1185 0.8977

=====

# NpN | the Materials Project database | PBE-GGA | relaxed
# Formation energy from the elements in eV per atom: -1.29
data_NpN
_chemical_formula_sum 'Np4 N4'
_cell_length_a 4.869
_cell_length_b 4.869
_cell_length_c 4.869
_cell_angle_alpha 90.00
_cell_angle_beta 90.00
_cell_angle_gamma 90.00
_symmetry_space_group_name_H-M 'F m -3 m'
_symmetry_Int_Tables_number 225
_symmetry_space_group_name_Hall '-F 4 2 3'
loop_
_atom_site_label
_atom_site_type_symbol
_atom_site_fract_x
_atom_site_fract_y
_atom_site_fract_z
Np1 Np 0.000 0.000 0.000
N1 N 0.000 0.000 0.500

=====

# MgBi2O4 | the Materials Project database | PBE-GGA | relaxed
# Formation energy from the elements in eV per atom: -1.87
# Distance to the lowest polymorph of the same formula in eV/atom: 0.125
# Magnetization in μB per cell: 0.0
data_MgBi2O4
_chemical_formula_sum 'Mg6 Bi12 O24'
_cell_length_a 6.8907
_cell_length_b 6.8907
_cell_length_c 16.3626
_cell_angle_alpha 90.00
_cell_angle_beta 90.00
_cell_angle_gamma 120.00
_symmetry_space_group_name_H-M 'P 3 m 1'
_symmetry_Int_Tables_number 156
_symmetry_space_group_name_Hall 'P 3 -2"'
loop_
_atom_site_label
_atom_site_type_symbol
_atom_site_fract_x
_atom_site_fract_y
_atom_site_fract_z
Mg1 Mg 0.0000 0.0000 0.0000
Mg2 Mg 0.0000 0.0000 0.2479
Mg3 Mg 0.0000 0.0000 0.6233
Mg4 Mg 0.3333 0.6667 0.5837
Mg5 Mg 0.6667 0.3333 0.2935
Mg6 Mg 0.6667 0.3333 0.9179
Bi1 Bi 0.1653 0.3305 0.7915
Bi2 Bi 0.3282 0.1641 0.4599
Bi3 Bi 0.3333 0.6667 0.3432
Bi4 Bi 0.3333 0.6667 0.9606
Bi5 Bi 0.5038 0.0077 0.1291
Bi6 Bi 0.6667 0.3333 0.6751
O1 O 0.0000 0.0000 0.3738
O2 O 0.0000 0.0000 0.8744
O3 O 0.1618 0.3236 0.5444
O4 O 0.1661 0.3321 0.0405
O5 O 0.2873 0.1436 0.7014
O6 O 0.3333 0.6667 0.2114
O7 O 0.3333 0.6667 0.7074
O8 O 0.3518 0.1759 0.2131
O9 O 0.5059 0.0118 0.8728
O10 O 0.5218 0.0437 0.3703
O11 O 0.6667 0.3333 0.0458
O12 O 0.6667 0.3333 0.5425

=====

# CaGeO3 | the Materials Project database | PBE-GGA | relaxed
# Formation energy from the elements in eV per atom: -2.73
# Magnetization in μB per cell: 0.0
data_CaGeO3
_chemical_formula_sum 'Ca6 Ge6 O18'
_cell_length_a 6.894
_cell_length_b 6.951
_cell_length_c 9.567
_cell_angle_alpha 69.97
_cell_angle_beta 84.06
_cell_angle_gamma 76.44
_symmetry_space_group_name_H-M 'P -1'
_symmetry_Int_Tables_number 2
_symmetry_space_group_name_Hall '-P 1'
loop_
_atom_site_label
_atom_site_type_symbol
_atom_site_fract_x
_atom_site_fract_y
_atom_site_fract_z
Ca1 Ca 0.072 0.422 0.336
Ca2 Ca 0.235 0.257 0.002
Ca3 Ca 0.408 0.765 0.358
Ge1 Ge 0.042 0.026 0.695
Ge2 Ge 0.270 0.771 0.994
Ge3 Ge 0.398 0.657 0.708
O1 O 0.057 0.717 0.411
O2 O 0.120 0.590 0.066
O3 O 0.138 0.020 0.867
O4 O 0.143 0.120 0.263
O5 O 0.257 0.913 0.601
O6 O 0.258 0.465 0.748
O7 O 0.393 0.848 0.108
O8 O 0.403 0.397 0.411
O9 O 0.472 0.692 0.871

=====

# CaSiO3 | the Materials Project database | PBE-GGA | relaxed
# Formation energy from the elements in eV per atom: -3.20
# Magnetization in μB per cell: 0.0
data_CaSiO3
_chemical_formula_sum 'Ca8 Si8 O24'
_cell_length_a 7.222
_cell_length_b 7.222
_cell_length_c 7.204
_cell_angle_alpha 90.00
_cell_angle_beta 90.00
_cell_angle_gamma 90.00
_symmetry_space_group_name_H-M 'I 4/m m m'
_symmetry_Int_Tables_number 139
_symmetry_space_group_name_Hall '-I 4 2'
loop_
_atom_site_label
_atom_site_type_symbol
_atom_site_fract_x
_atom_site_fract_y
_atom_site_fract_z
Ca1 Ca 0.000 0.000 0.000
Ca2 Ca 0.000 0.000 0.500
Ca3 Ca 0.000 0.500 0.000
Si1 Si 0.250 0.250 0.250
O1 O 0.000 0.250 0.239
O2 O 0.239 0.239 0.500

=====

# Dy4Sb3 | the Materials Project database | PBE-GGA | relaxed
# Formation energy from the elements in eV per atom: -1.07
data_Dy4Sb3
_chemical_formula_sum 'Dy16 Sb12'
_cell_length_a 9.198
_cell_length_b 9.198
_cell_length_c 9.198
_cell_angle_alpha 90.00
_cell_angle_beta 90.00
_cell_angle_gamma 90.00
_symmetry_space_group_name_H-M 'I -4 3 d'
_symmetry_Int_Tables_number 220
_symmetry_space_group_name_Hall 'I -4bd 2c 3'
loop_
_atom_site_label
_atom_site_type_symbol
_atom_site_fract_x
_atom_site_fract_y
_atom_site_fract_z
Dy1 Dy 0.072 0.428 0.572
Sb1 Sb 0.000 0.250 0.875

=====

# K2Zn2O3 | the Materials Project database | PBE-GGA | relaxed
# Formation energy from the elements in eV per atom: -1.66
data_K2Zn2O3
_chemical_formula_sum 'K4 Zn4 O6'
_cell_length_a 5.966
_cell_length_b 6.349
_cell_length_c 6.334
_cell_angle_alpha 90.00
_cell_angle_beta 113.55
_cell_angle_gamma 90.00
_symmetry_space_group_name_H-M 'P 1 21/c 1'
_symmetry_Int_Tables_number 14
_symmetry_space_group_name_Hall '-P 2ybc'
loop_
_atom_site_label
_atom_site_type_symbol
_atom_site_fract_x
_atom_site_fract_y
_atom_site_fract_z
K1 K 0.193 0.133 0.432
Zn1 Zn 0.329 0.614 0.567
O1 O 0.000 0.000 0.000
O2 O 0.415 0.638 0.290

=====

# YSn3F15 | the Materials Project database | PBE-GGA | relaxed
# Formation energy from the elements in eV per atom: -2.96
# Magnetization in μB per cell: 0.0
data_YSn3F15
_chemical_formula_sum 'Y2 Sn6 F30'
_cell_length_a 5.663
_cell_length_b 10.867
_cell_length_c 9.924
_cell_angle_alpha 90.00
_cell_angle_beta 95.72
_cell_angle_gamma 90.00
_symmetry_space_group_name_H-M 'P 1 21/m 1'
_symmetry_Int_Tables_number 11
_symmetry_space_group_name_Hall '-P 2yb'
loop_
_atom_site_label
_atom_site_type_symbol
_atom_site_fract_x
_atom_site_fract_y
_atom_site_fract_z
Y1 Y 0.099 0.250 0.202
Sn1 Sn 0.489 0.566 0.341
Sn2 Sn 0.500 0.000 0.000
F1 F 0.073 0.750 0.633
F2 F 0.194 0.127 0.634
F3 F 0.203 0.750 0.928
F4 F 0.228 0.056 0.297
F5 F 0.243 0.118 0.028
F6 F 0.341 0.549 0.814
F7 F 0.368 0.750 0.345
F8 F 0.369 0.617 0.136
F9 F 0.377 0.585 0.532